Entry 1
DFT (PBE with a Hubbard U) results for an optimized crystal structure of CaMg6VO8.

Lattice parameters (Å, degrees): 4.3853 4.3853 8.7452 90.00 90.00 90.00
Closest atoms and distances in Å follow each position.
Atoms (fractional coordinates):
Ca (0.0000, 0.0000, 0.0000)  6 O 2.19-2.26
Mg (0.0000, 0.5000, 0.2555)  6 O 2.14-2.23
Mg (0.0000, 0.5000, 0.7445)  6 O 2.14-2.23
Mg (0.5000, 0.0000, 0.2555)  6 O 2.14-2.23
Mg (0.5000, 0.0000, 0.7445)  6 O 2.14-2.23
Mg (0.5000, 0.5000, 0.0000)  6 O 2.19-2.20
Mg (0.5000, 0.5000, 0.5000)  6 O 2.17-2.19
V (0.0000, 0.0000, 0.5000)  6 O 2.11-2.19
O (0.0000, 0.0000, 0.2587)  1 V 2.11, 4 Mg 2.19, 1 Ca 2.26
O (0.0000, 0.0000, 0.7413)  1 V 2.11, 4 Mg 2.19, 1 Ca 2.26
O (0.0000, 0.5000, 0.0000)  4 Mg 2.19-2.23, 2 Ca 2.19
O (0.0000, 0.5000, 0.5000)  4 Mg 2.14-2.19, 2 V 2.19
O (0.5000, 0.0000, 0.0000)  4 Mg 2.19-2.23, 2 Ca 2.19
O (0.5000, 0.0000, 0.5000)  4 Mg 2.14-2.19, 2 V 2.19
O (0.5000, 0.5000, 0.2515)  6 Mg 2.17-2.20
O (0.5000, 0.5000, 0.7485)  6 Mg 2.17-2.20

Entry 2
DFT (PBE with a Hubbard U) results for an optimized crystal structure of CaMg6VO8.

Lattice parameters (Å, degrees): 4.3878 4.3878 8.6835 90.00 90.00 90.00
Closest atoms and distances in Å follow each position.
Atoms (fractional coordinates):
Ca (0.0000, 0.0000, 0.0000)  6 O 2.19-2.30
Mg (0.0000, 0.0000, 0.5000)  6 O 2.04-2.19
Mg (0.0000, 0.5000, 0.2573)  6 O 2.11-2.23
Mg (0.0000, 0.5000, 0.7427)  6 O 2.11-2.23
Mg (0.5000, 0.0000, 0.2573)  6 O 2.11-2.23
Mg (0.5000, 0.0000, 0.7427)  6 O 2.11-2.23
Mg (0.5000, 0.5000, 0.5000)  6 O 2.12-2.19
V (0.5000, 0.5000, 0.0000)  6 O 2.19-2.22
O (0.0000, 0.0000, 0.2647)  5 Mg 2.04-2.19
O (0.0000, 0.0000, 0.7353)  5 Mg 2.04-2.19
O (0.0000, 0.5000, 0.0000)  2 Ca 2.19, 2 V 2.19, 2 Mg 2.23
O (0.0000, 0.5000, 0.5000)  6 Mg 2.11-2.19
O (0.5000, 0.0000, 0.0000)  2 Ca 2.19, 2 V 2.19, 2 Mg 2.23
O (0.5000, 0.0000, 0.5000)  6 Mg 2.11-2.19
O (0.5000, 0.5000, 0.2554)  5 Mg 2.12-2.19, 1 V 2.22
O (0.5000, 0.5000, 0.7446)  5 Mg 2.12-2.19, 1 V 2.22

Result of the stability comparison: entry 2 is the most stable of them.

Entry 1
DFT (PBE with a Hubbard U) results for an optimized crystal structure of CaNdMn2O6.

Lattice parameters (Å, degrees): 7.6790 5.4618 5.5197 90.00 90.00 90.00
Closest atoms and distances in Å follow each position.
Atoms (fractional coordinates):
Ca (0.0000, 0.2415, 0.0000)  4 O 2.35-2.46
Ca (0.0000, 0.7585, 0.5000)  4 O 2.35-2.46
Nd (0.5000, 0.2579, 0.9181)  8 O 2.39-2.65
Nd (0.5000, 0.7421, 0.4181)  8 O 2.39-2.65
Mn (0.2438, 0.2491, 0.4607)  6 O 1.93-2.01
Mn (0.2438, 0.7509, 0.9607)  6 O 1.93-2.01
Mn (0.7562, 0.2491, 0.4607)  6 O 1.93-2.01
Mn (0.7562, 0.7509, 0.9607)  6 O 1.93-2.01
O (0.0000, 0.3342, 0.4353)  2 Mn 1.93
O (0.0000, 0.6658, 0.9353)  2 Mn 1.93
O (0.2141, 0.0433, 0.7552)  2 Mn 1.97-1.99
O (0.2141, 0.9567, 0.2552)  2 Mn 1.97-1.99
O (0.2967, 0.4685, 0.1790)  2 Mn 2.00
O (0.2967, 0.5315, 0.6790)  2 Mn 2.00
O (0.5000, 0.1750, 0.4748)  2 Mn 2.01
O (0.5000, 0.8250, 0.9748)  2 Mn 2.01
O (0.7033, 0.4685, 0.1790)  2 Mn 2.00
O (0.7033, 0.5315, 0.6790)  2 Mn 2.00
O (0.7859, 0.0433, 0.7552)  2 Mn 1.97-1.99
O (0.7859, 0.9567, 0.2552)  2 Mn 1.97-1.99

Entry 2
DFT (PBE with a Hubbard U) results for an optimized crystal structure of CaNdMn2O6.

Lattice parameters (Å, degrees): 7.7025 16.2972 5.4738 90.00 90.00 90.00
Closest atoms and distances in Å follow each position.
Atoms (fractional coordinates):
Ca (0.0000, 0.0779, 0.0000)  8 O 2.40-2.68
Ca (0.0000, 0.4163, 0.9945)  6 O 2.37-2.60
Ca (0.0000, 0.5837, 0.4945)  6 O 2.37-2.60
Ca (0.0000, 0.9221, 0.5000)  8 O 2.40-2.68
Ca (0.5000, 0.2469, 0.4145)  6 O 2.38-2.61
Ca (0.5000, 0.7531, 0.9145)  6 O 2.38-2.61
Nd (0.0000, 0.2520, 0.4893)  8 O 2.42-2.69
Nd (0.0000, 0.7480, 0.9893)  8 O 2.42-2.69
Nd (0.5000, 0.0889, 0.9179)  8 O 2.44-2.65
Nd (0.5000, 0.4154, 0.9248)  8 O 2.42-2.70
Nd (0.5000, 0.5846, 0.4248)  8 O 2.42-2.70
Nd (0.5000, 0.9111, 0.4179)  8 O 2.44-2.65
Mn (0.2470, 0.0826, 0.4554)  6 O 1.94-1.98
Mn (0.2472, 0.2493, 0.9571)  6 O 1.95-1.98
Mn (0.2473, 0.4166, 0.4559)  6 O 1.94-1.99
Mn (0.2473, 0.5834, 0.9559)  6 O 1.94-1.99
Mn (0.2472, 0.7507, 0.4571)  6 O 1.95-1.98
Mn (0.2470, 0.9174, 0.9554)  6 O 1.94-1.98
Mn (0.7530, 0.0826, 0.4554)  6 O 1.94-1.98
Mn (0.7528, 0.2493, 0.9571)  6 O 1.95-1.98
Mn (0.7527, 0.4166, 0.4559)  6 O 1.94-1.99
Mn (0.7527, 0.5834, 0.9559)  6 O 1.94-1.99
Mn (0.7528, 0.7507, 0.4571)  6 O 1.95-1.98
Mn (0.7530, 0.9174, 0.9554)  6 O 1.94-1.98
O (0.0000, 0.1043, 0.4402)  2 Mn 1.94
O (0.0000, 0.2240, 0.9448)  2 Mn 1.95
O (0.0000, 0.4397, 0.4372)  2 Mn 1.94
O (0.0000, 0.5603, 0.9372)  2 Mn 1.94
O (0.0000, 0.7760, 0.4448)  2 Mn 1.95
O (0.0000, 0.8957, 0.9402)  2 Mn 1.94
O (0.2102, 0.3449, 0.7420)  2 Mn 1.97
O (0.2102, 0.6551, 0.2420)  2 Mn 1.97
O (0.2150, 0.3233, 0.2352)  2 Mn 1.96
O (0.2150, 0.6767, 0.7352)  2 Mn 1.96
O (0.2184, 0.0143, 0.7487)  2 Mn 1.95-1.97
O (0.2184, 0.9857, 0.2487)  2 Mn 1.95-1.97
O (0.2812, 0.1552, 0.1744)  2 Mn 1.96
O (0.2812, 0.8448, 0.6744)  2 Mn 1.96
O (0.2866, 0.1793, 0.6667)  2 Mn 1.98
O (0.2866, 0.8207, 0.1667)  2 Mn 1.98
O (0.2917, 0.4910, 0.1792)  2 Mn 1.97
O (0.2917, 0.5090, 0.6792)  2 Mn 1.97
O (0.5000, 0.0605, 0.4632)  2 Mn 1.98
O (0.5000, 0.2679, 0.9715)  2 Mn 1.97
O (0.5000, 0.3922, 0.4664)  2 Mn 1.99
O (0.5000, 0.6078, 0.9664)  2 Mn 1.99
O (0.5000, 0.7321, 0.4715)  2 Mn 1.97
O (0.5000, 0.9395, 0.9632)  2 Mn 1.98
O (0.7083, 0.4910, 0.1792)  2 Mn 1.97
O (0.7083, 0.5090, 0.6792)  2 Mn 1.97
O (0.7134, 0.1793, 0.6667)  2 Mn 1.98
O (0.7134, 0.8207, 0.1667)  2 Mn 1.98
O (0.7188, 0.1552, 0.1744)  2 Mn 1.96
O (0.7188, 0.8448, 0.6744)  2 Mn 1.96
O (0.7816, 0.0143, 0.7487)  2 Mn 1.95-1.97
O (0.7816, 0.9857, 0.2487)  2 Mn 1.95-1.97
O (0.7850, 0.3233, 0.2352)  2 Mn 1.96
O (0.7850, 0.6767, 0.7352)  2 Mn 1.96
O (0.7898, 0.3449, 0.7420)  2 Mn 1.97
O (0.7898, 0.6551, 0.2420)  2 Mn 1.97

Result of the stability comparison: entry 1 is the most stable of them.